Record 1
This record from Materials Project describes a geometry-optimized AlHO2 structure. The functional is PBE.

The structure belongs to space group P2_1/m (No. 11); the cell edges are 2.9115, 3.7615 and 6.3336 Å and the angles 90.00°, 100.39° and 90.00°. The inequivalent atoms are Al at (0.1975, 0.2500, 0.3670), H at (0.4461, 0.7500, 0.9844), O at (0.2214, 0.7500, 0.4258) and O at (0.3789, 0.7500, 0.8276).

The calculation puts the calculated total energy at -6.513 eV/atom. For the formation energy, the calculation gives -2.60 eV/atom.

Record 2
This record from Materials Project describes a geometry-optimized Cu3AsS4 structure. The functional is PBE.

The structure belongs to space group P-43m (No. 215); the cell edges are 5.3086, 5.3086 and 5.3086 Å and the angles 90.00°, 90.00° and 90.00°. The inequivalent atoms are Cu at (0.0000, 0.0000, 0.5000), As at (0.5000, 0.5000, 0.5000) and S at (0.2447, 0.2447, 0.7553).

The calculation puts the calculated total energy at -4.379 eV/atom. For the formation energy, the calculation gives -0.44 eV/atom.